No. 1
{
  "formula": "Rb3Ta2AsS11",
  "functional": "PBE",
  "state": "relaxed",
  "lattice": [[7.401, -6.630, 0.000], [7.401, 6.630, 0.000], [-1.466, 0.000, 9.684]],
  "species": ["Rb", "Rb", "Rb", "Rb", "Rb", "Rb", "Ta", "Ta", "Ta", "Ta", "As", "As", "S", "S", "S", "S", "S", "S", "S", "S", "S", "S", "S", "S", "S", "S", "S", "S", "S", "S", "S", "S", "S", "S"],
  "fractional_positions": [[0.066, 0.934, 0.500], [0.300, 0.462, 0.743], [0.462, 0.300, 0.243], [0.673, 0.827, 0.330], [0.827, 0.673, 0.830], [0.934, 0.066, 0.000], [0.029, 0.569, 0.223], [0.322, 0.905, 0.908], [0.569, 0.029, 0.723], [0.905, 0.322, 0.408], [0.373, 0.690, 0.167], [0.690, 0.373, 0.667], [0.003, 0.586, 0.474], [0.094, 0.293, 0.261], [0.137, 0.802, 0.821], [0.148, 0.248, 0.463], [0.200, 0.597, 0.423], [0.221, 0.540, 0.074], [0.248, 0.148, 0.963], [0.286, 0.909, 0.157], [0.293, 0.094, 0.761], [0.419, 0.920, 0.532], [0.465, 0.805, 0.700], [0.488, 0.703, 0.977], [0.540, 0.221, 0.574], [0.586, 0.003, 0.974], [0.597, 0.200, 0.923], [0.703, 0.488, 0.477], [0.779, 0.950, 0.671], [0.802, 0.137, 0.321], [0.805, 0.465, 0.200], [0.909, 0.286, 0.657], [0.920, 0.419, 0.032], [0.950, 0.779, 0.171]],
  "delta_e_f_ev_per_fu": -19.8,
  "total_magnetization_mub_per_fu": 0.000,
  "sg": "Cc (9)"
}

***

No. 2
{
  "formula": "RbAsSe2",
  "functional": "PBE",
  "state": "relaxed",
  "lattice": [[11.924, -5.104, 0.000], [11.924, 5.104, 0.000], [-1.999, 0.000, 9.492]],
  "species": ["Rb", "Rb", "Rb", "Rb", "Rb", "Rb", "Rb", "Rb", "As", "As", "As", "As", "As", "As", "As", "As", "Se", "Se", "Se", "Se", "Se", "Se", "Se", "Se", "Se", "Se", "Se", "Se", "Se", "Se", "Se", "Se"],
  "fractional_positions": [[0.001, 0.999, 0.750], [0.124, 0.271, 0.328], [0.271, 0.124, 0.828], [0.465, 0.535, 0.750], [0.535, 0.465, 0.250], [0.729, 0.876, 0.172], [0.876, 0.729, 0.672], [0.999, 0.001, 0.250], [0.191, 0.590, 0.350], [0.205, 0.490, 0.957], [0.410, 0.809, 0.150], [0.490, 0.205, 0.457], [0.510, 0.795, 0.543], [0.590, 0.191, 0.850], [0.795, 0.510, 0.043], [0.809, 0.410, 0.650], [0.016, 0.191, 0.558], [0.088, 0.520, 0.156], [0.191, 0.016, 0.058], [0.224, 0.659, 0.007], [0.256, 0.442, 0.534], [0.341, 0.776, 0.493], [0.442, 0.256, 0.034], [0.480, 0.912, 0.344], [0.520, 0.088, 0.656], [0.558, 0.744, 0.966], [0.659, 0.224, 0.507], [0.744, 0.558, 0.466], [0.776, 0.341, 0.993], [0.809, 0.984, 0.942], [0.912, 0.480, 0.844], [0.984, 0.809, 0.442]],
  "delta_e_f_ev_per_fu": -3.4,
  "sg": "C2/c (15)"
}